1.
First-principles (PBE with a Hubbard U) data for an optimized crystal structure of Li9Mn7O16, as listed in the Materials Project.

a = 6.057 Å, b = 6.513 Å, c = 8.194 Å
α = 89.24°, β = 89.13°, γ = 66.53°
Space group P-1 (No. 2)
Unique sites:
Li  0.000  0.000  0.000
Li  0.000  0.000  0.500
Li  0.123  0.242  0.244
Li  0.257  0.496  0.998
Li  0.370  0.750  0.754
Li  0.500  0.000  0.500
Mn  0.128  0.244  0.753
Mn  0.250  0.500  0.500
Mn  0.363  0.758  0.248
Mn  0.500  0.000  0.000
O  0.007  0.978  0.251
O  0.137  0.260  0.511
O  0.165  0.225  0.989
O  0.255  0.484  0.741
O  0.260  0.508  0.258
O  0.365  0.743  0.487
O  0.384  0.761  0.012
O  0.484  0.998  0.237

Computed properties:
As for the distance to the lowest polymorph of the same formula: 11.5 meV/atom.

---

2.
First-principles (PBE with a Hubbard U) data for an optimized crystal structure of LiV3O5F3, as listed in the Materials Project.

a = 9.100 Å, b = 11.086 Å, c = 5.108 Å
α = 90.00°, β = 91.41°, γ = 90.00°
Space group Cc (No. 9)
Unique sites:
Li  0.000  0.167  0.000
V  0.013  0.320  0.525
V  0.247  0.419  0.029
V  0.258  0.078  0.456
O  0.112  0.319  0.819
O  0.130  0.188  0.364
O  0.141  0.438  0.342
O  0.364  0.058  0.144
O  0.374  0.308  0.122
F  0.140  0.056  0.804
F  0.365  0.446  0.686
F  0.393  0.187  0.660

Computed properties:
As for the distance to the lowest polymorph of the same formula: 0.0 meV/atom.

---

3.
First-principles (PBE with a Hubbard U) data for an optimized crystal structure of ThTe2MoO9, as listed in the Materials Project.

a = 21.714 Å, b = 7.150 Å, c = 11.035 Å
α = 90.00°, β = 110.51°, γ = 90.00°
Space group C2/c (No. 15)
Unique sites:
Th  0.153  0.154  0.477
Te  0.110  0.335  0.784
Te  0.237  0.424  0.167
Mo  0.040  0.214  0.095
O  0.034  0.451  0.138
O  0.045  0.147  0.499
O  0.078  0.098  0.249
O  0.093  0.204  0.002
O  0.140  0.451  0.386
O  0.154  0.372  0.663
O  0.183  0.161  0.884
O  0.213  0.000  0.164
O  0.246  0.148  0.408

---

4.
First-principles (PBE with a Hubbard U) data for an optimized crystal structure of Cr2CdH14N4O8, as listed in the Materials Project.

a = 6.228 Å, b = 7.036 Å, c = 7.879 Å
α = 107.79°, β = 93.28°, γ = 115.30°
Space group P-1 (No. 2)
Unique sites:
Cr  0.176  0.330  0.222
Cd  0.500  0.000  0.000
H  0.077  0.433  0.777
H  0.088  0.191  0.763
H  0.150  0.288  0.590
H  0.272  0.888  0.651
H  0.346  0.440  0.800
H  0.466  0.115  0.360
H  0.475  0.872  0.310
N  0.164  0.336  0.732
N  0.454  0.977  0.710
O  0.076  0.713  0.907
O  0.100  0.159  0.341
O  0.311  0.595  0.364
O  0.370  0.290  0.093

---

5.
First-principles (PBE with a Hubbard U) data for an optimized crystal structure of KMoIO6, as listed in the Materials Project.

a = 7.495 Å, b = 19.780 Å, c = 8.009 Å
α = 90.00°, β = 90.00°, γ = 90.00°
Space group Pbca (No. 61)
Unique sites:
K  0.165  0.071  0.190
Mo  0.079  0.107  0.720
I  0.077  0.724  0.495
O  0.013  0.078  0.524
O  0.057  0.213  0.619
O  0.107  0.032  0.835
O  0.127  0.175  0.942
O  0.141  0.674  0.316
O  0.170  0.626  0.686

Computed properties:
As for the distance to the lowest polymorph of the same formula: 4.7 meV/atom.

---

6.
First-principles (PBE with a Hubbard U) data for an optimized crystal structure of NaFe2O4, as listed in the Materials Project.

a = 6.052 Å, b = 6.189 Å, c = 8.633 Å
α = 90.00°, β = 90.00°, γ = 90.00°
Space group Imma (No. 74)
Unique sites:
Na  0.000  0.250  0.125
Fe  0.000  0.000  0.500
Fe  0.250  0.250  0.750
O  0.000  0.046  0.738
O  0.220  0.250  0.528

Computed properties:
As for the distance to the lowest polymorph of the same formula: 62.5 meV/atom.

---

7.
First-principles (PBE with a Hubbard U) data for an optimized crystal structure of MgP2W2O9, as listed in the Materials Project.

a = 15.036 Å, b = 6.707 Å, c = 7.174 Å
α = 90.00°, β = 90.00°, γ = 90.00°
Space group Pnma (No. 62)
Unique sites:
Mg  0.232  0.250  0.080
P  0.079  0.750  0.622
P  0.191  0.750  0.100
W  0.000  0.000  0.000
W  0.125  0.250  0.626
O  0.010  0.750  0.471
O  0.030  0.750  0.815
O  0.065  0.250  0.885
O  0.137  0.552  0.100
O  0.145  0.572  0.614
O  0.241  0.250  0.432
O  0.249  0.250  0.781

---

8.
First-principles (PBE with a Hubbard U) data for an optimized crystal structure of Li2Si4Ni3O12, as listed in the Materials Project.

a = 7.481 Å, b = 9.938 Å, c = 13.325 Å
α = 90.00°, β = 90.00°, γ = 90.00°
Space group Pnma (No. 62)
Unique sites:
Li  0.043  0.250  0.144
Li  0.233  0.250  0.497
Si  0.183  0.537  0.618
Si  0.220  0.037  0.336
Ni  0.000  0.000  0.000
Ni  0.236  0.250  0.715
Ni  0.241  0.250  0.929
O  0.028  0.083  0.386
O  0.125  0.605  0.904
O  0.208  0.111  0.025
O  0.213  0.123  0.612
O  0.226  0.102  0.221
O  0.237  0.626  0.323

---

9.
First-principles (PBE with a Hubbard U) data for an optimized crystal structure of Sr2YMn2GaO7, as listed in the Materials Project.

a = 22.454 Å, b = 5.827 Å, c = 5.691 Å
α = 90.00°, β = 90.00°, γ = 90.00°
Space group Ima2 (No. 46)
Unique sites:
Sr  0.151  0.027  0.000
Y  0.000  0.000  0.988
Mn  0.081  0.503  0.992
Ga  0.250  0.577  0.029
O  0.062  0.244  0.746
O  0.066  0.747  0.738
O  0.177  0.057  0.462
O  0.250  0.634  0.365

---

| no. | DFT formation energy (eV per atom) | M_tot (μB/atom) |
| --- | --- | --- |
| 1 | -2.133 | 0.813 |
| 2 | -2.689 | 0.250 |
| 3 | -2.309 | 0.000 |
| 4 | -0.949 | 0.000 |
| 5 | -1.631 | 0.000 |
| 6 | -1.547 | 1.285 |
| 7 | -2.370 | 0.429 |
| 8 | -2.459 | 0.286 |
| 9 | -2.721 | 0.766 |